The following is a GGA+U calculation of crystalline CrSbF10 at its relaxed geometry, from the Materials Project.

Values from the calculation:
Its energy is -223.34 eV/cell. For the formation energy, the calculation gives -29.526 eV/f.u. The value obtained for the MP2020-corrected energy is -5.2045 eV per atom. Its volume is 753.1 Å³/cell.

The structure in CIF format:
```
data_CrSbF10
_cell_length_a 5.820
_cell_length_b 10.563
_cell_length_c 12.461
_cell_angle_alpha 90.00
_cell_angle_beta 100.55
_cell_angle_gamma 90.00
_symmetry_space_group_name_H-M 'P 1 21/c 1'
_symmetry_Int_Tables_number 14
loop_
_symmetry_equiv_pos_as_xyz
'x,y,z'
'-x,-y,-z'
'-x,y+1/2,-z+1/2'
'x,-y+1/2,z+1/2'
loop_
_atom_site_label
_atom_site_type_symbol
_atom_site_fract_x
_atom_site_fract_y
_atom_site_fract_z
Cr1 Cr 0.176 0.245 0.301
Sb1 Sb 0.500 0.000 0.000
Sb2 Sb 0.500 0.000 0.500
F1 F 0.021 0.699 0.623
F2 F 0.028 0.109 0.255
F3 F 0.079 0.170 0.683
F4 F 0.234 0.577 0.039
F5 F 0.253 0.053 0.070
F6 F 0.305 0.152 0.446
F7 F 0.329 0.647 0.448
F8 F 0.357 0.093 0.864
F9 F 0.428 0.573 0.859
F10 F 0.447 0.206 0.273
```